[1]
Below is crystalline La8Cu7O19 at its relaxed geometry, with properties calculated at the PBE-GGA level.

Cell and atoms, written as extended XYZ:
```
68
Lattice="-1.7862 3.2449 -0.7808 -0.7468 0.0624 -7.1933 -31.0697 -14.5389 1.3833" Properties=species:S:1:pos:R:3 pbc="T T T"
La -7.1906 -1.0915 -6.9215
La -14.4434 -4.6991 -4.6625
La -3.9497 0.7015 -6.2023
La -26.4119 -10.1613 0.3457
La -25.4636 -10.4666 -3.2823
La -5.0198 1.2109 -2.6075
La -23.9733 -8.1392 -6.1552
La -29.6600 -11.9392 -0.3779
La -20.7680 -6.3202 -5.4362
La -12.8332 -4.9268 -1.1509
La -11.3450 -2.6746 -3.9945
La -8.1399 -0.7634 -3.2910
La -19.1503 -6.5429 -1.9320
La -28.5785 -12.4527 -3.9706
La -9.6399 -3.0855 -0.4290
La -22.2481 -8.5722 -2.5802
O -14.8251 -4.0480 -2.4314
O -15.1018 -6.1187 0.0171
O -31.0275 -13.3145 -2.8666
O -2.5757 2.0844 -3.7209
O -9.0677 -3.2051 -2.7048
O -9.2727 -1.8799 -5.4583
O -6.7776 -2.5503 -4.6696
O -18.5771 -7.9778 0.2688
O -3.4498 -0.6378 -4.0273
O -1.6442 -0.3052 -6.2214
O -28.8377 -9.4491 0.1941
O -21.1024 -7.3956 -0.4137
O -16.8807 -7.4460 -1.9733
O -31.9596 -10.9314 -0.3504
O -8.8047 -0.4768 -1.0541
O -11.7472 -1.2381 -6.2401
O -24.3376 -9.3537 -1.1115
O -5.9290 -1.3472 -2.0269
O -18.4978 -5.1286 -6.6104
O -16.7091 -3.7957 -4.6218
O -24.5424 -8.0161 -3.8722
O -12.4942 -3.8493 -6.1824
O -24.7886 -10.7473 -5.5205
O -6.0222 0.0482 -4.7425
O -15.0184 -3.2622 -6.8640
O -30.1584 -10.5989 -2.5475
O -12.1032 -5.0100 -3.4185
O -21.4780 -6.2371 -3.1655
O -27.5818 -11.2913 -1.8363
O -11.9158 -2.3730 -1.7248
O -4.7601 -1.7908 -6.7740
O -26.8301 -8.6893 -1.9039
O -3.0786 0.4554 -1.3613
O -18.7707 -7.1991 -4.1608
O -27.6783 -9.9024 -4.5477
O -30.5172 -11.6911 -5.2185
O -21.6635 -8.8779 -4.8494
O -21.8510 -9.9952 -0.3486
Cu -31.8596 -11.5449 -2.8217
Cu -8.3767 -3.5052 -5.0682
Cu -5.1287 -1.5803 -4.3660
Cu -25.2304 -7.7298 -1.5070
Cu -16.6781 -4.2866 -7.0718
Cu -28.4772 -9.6621 -2.2120
Cu -16.9217 -6.9580 0.4889
Cu -2.2081 2.1914 -1.6635
Cu -31.3883 -13.4288 -4.9119
Cu -1.7480 0.3133 -3.7683
Cu -16.7704 -3.8318 -2.5934
Cu -16.8226 -7.4144 -3.9984
Cu -20.2085 -9.0152 -0.0368
Cu -13.3837 -2.2241 -6.5562
```

Values from the calculation:
VASP energy in eV/atom: -6.99
Energy above the most stable polymorph in this dataset in eV/atom: 0.000
Formation energy from the elements in kJ/mol of formula units: -8554.3
Spin magnetization in μB per formula unit: 1.14

***

[2]
Below is crystalline Sc6Si7Ni16 at its relaxed geometry, with properties calculated at the PBE-GGA level.

Cell and atoms, written as extended XYZ:
```
29
Lattice="-0.5032 -7.9688 -1.1454 -6.9416 -3.8503 1.4337 -4.3324 -2.9261 -6.1429" Properties=species:S:1:pos:R:3 pbc="T T T"
Si -2.4178 -5.4474 -3.6441
Si -3.7224 -5.9096 0.1441
Si -2.1662 -1.4630 -3.0714
Si -3.4708 -1.9252 0.7168
Si -0.2516 -3.9844 -0.5727
Si 0.0000 0.0000 0.0000
Si -5.6370 -3.3882 -2.3546
Ni -3.9016 -4.8849 -1.9396
Ni -7.8755 -9.8603 -3.9150
Ni -3.7380 -2.2938 -1.5671
Ni -10.3757 -12.9906 -5.1579
Ni -10.1120 -8.8148 -4.5577
Ni -1.6651 -5.9304 -1.2969
Ni -2.4929 -3.9335 0.0578
Ni -8.0391 -12.4513 -4.2875
Ni -6.7382 -10.9729 -5.9092
Ni -1.6445 -3.6330 -2.4057
Ni -9.2842 -10.8117 -5.9124
Ni -5.0389 -3.7723 0.0546
Ni -1.4014 -1.7546 -0.6967
Ni -10.1326 -11.1122 -3.4489
Ni -8.1055 -11.4573 -1.9390
Ni -3.6717 -3.2879 -3.9156
Sc -6.3222 -5.9223 -1.1316
Sc -6.5294 -9.2035 -1.6033
Sc -5.2478 -5.5417 -4.2513
Sc -8.1061 -7.1271 -3.6610
Sc -3.6711 -7.6181 -2.1936
Sc -5.4550 -8.8229 -4.7230
```

Values from the calculation:
VASP energy in eV/atom: -6.57
Formation energy from the elements in kJ/mol of formula units: -2132.2

***

[3]
Below is crystalline Mg7Cd at its relaxed geometry, with properties calculated at the PBE-GGA level.

Cell and atoms, written as extended XYZ:
```
8
Lattice="3.1728 -5.4955 0.0000 3.1728 5.4955 0.0000 0.0000 0.0000 5.1573" Properties=species:S:1:pos:R:3 pbc="T T T"
Mg 3.1728 3.6654 0.0000
Mg 1.5899 -2.7457 2.5786
Mg 1.5849 0.9151 0.0000
Mg 4.7557 -2.7457 2.5786
Mg 4.7607 0.9151 0.0000
Mg 3.1728 -0.0041 2.5786
Mg 3.1728 -1.8318 0.0000
Cd 0.0000 0.0000 2.5786
```

Values from the calculation:
VASP energy in eV/atom: -1.54
Formation energy from the elements in kJ/mol of formula units: -19.2

***

[4]
Below is crystalline KTi2BiO6 at its relaxed geometry, with properties calculated at the PBE-GGA level.

Cell and atoms, written as extended XYZ:
```
10
Lattice="-2.5106 -4.7879 -1.2814 -4.9760 0.0469 -2.4711 -0.4777 -1.5511 -5.3137" Properties=species:S:1:pos:R:3 pbc="T T T"
O -1.2553 -2.3940 -0.6407
O -3.7433 -2.3705 -1.8763
O -2.4880 0.0235 -1.2355
O -0.2388 -0.7755 -2.6568
O -1.4941 -3.1695 -3.2976
O -2.7268 -0.7521 -3.8924
Ti -5.9732 -4.7191 -6.7996
Ti -1.9911 -1.5730 -2.2665
Bi -3.9821 -3.1460 -4.5331
K 0.0000 0.0000 0.0000
```

Values from the calculation:
VASP energy in eV/atom: -7.37
Formation energy from the elements in kJ/mol of formula units: -2637.5
Spin magnetization in μB per formula unit: 0.00

***

[5]
Below is crystalline NiPPd at its relaxed geometry, with properties calculated at the PBE-GGA level.

Cell and atoms, written as extended XYZ:
```
9
Lattice="0.0000 0.0000 -3.6270 -3.0189 -5.2288 0.0000 -3.0189 5.2288 0.0000" Properties=species:S:1:pos:R:3 pbc="T T T"
P 0.0000 0.0000 -1.8135
P -3.0189 -1.7429 0.0000
P -3.0189 1.7429 0.0000
Ni -2.2506 3.8982 0.0000
Ni -1.5365 0.0000 0.0000
Ni -2.2506 -3.8982 0.0000
Pd -3.5975 0.0000 -1.8135
Pd -1.2201 2.1133 -1.8135
Pd -1.2201 -2.1133 -1.8135
```

Values from the calculation:
VASP energy in eV/atom: -5.91
Formation energy from the elements in kJ/mol of formula units: -132.1
Spin magnetization in μB per formula unit: 0.00

***

[6]
Below is crystalline Pr3Ag4Sn4 at its relaxed geometry, with properties calculated at the PBE-GGA level.

Cell and atoms, written as extended XYZ:
```
11
Lattice="8.3051 -1.0299 3.3005 1.3936 -1.7178 8.7199 -3.5783 -2.3976 -7.8979" Properties=species:S:1:pos:R:3 pbc="T T T"
Ag -1.2997 -2.6370 -3.0406
Ag 4.1170 -1.5725 3.0692
Ag 7.4202 -2.5083 7.1631
Ag 2.0034 -3.5728 1.0533
Sn 1.6719 -2.8408 3.8369
Sn -0.1758 -2.7223 -0.4804
Sn 6.2963 -2.4230 4.6029
Sn 4.4486 -2.3045 0.2856
Pr 8.4443 -2.3923 10.4657
Pr 1.2544 -0.3554 1.5547
Pr 2.3634 -1.7138 -2.2987
```

Values from the calculation:
VASP energy in eV/atom: -4.35
Energy above the most stable polymorph in this dataset in eV/atom: 0.000
Formation energy from the elements in kJ/mol of formula units: -594.2

***

[7]
Below is crystalline Na3Mg2Nb2P5SO24 at its relaxed geometry, with properties calculated at the PBE-GGA level.

Cell and atoms, written as extended XYZ:
```
111
Lattice="8.8333 0.0170 0.0116 -4.4020 7.6220 -0.0159 0.0292 -0.0298 22.5306" Properties=species:S:1:pos:R:3 pbc="T T T"
P 3.2186 4.7573 13.0607
P 1.8604 2.4739 1.8116
P 1.8562 7.5665 16.8075
P 1.2880 7.3212 9.3349
P 3.1240 5.4181 5.5382
P 5.7169 0.3624 1.8152
P 2.6064 5.0214 20.6084
P 5.7018 4.7649 1.8433
P -1.2914 2.8423 20.5519
P 1.3356 2.8680 9.2845
P -1.8306 7.5747 5.5721
P 3.1038 0.3231 13.0794
P 1.2891 2.1876 16.8646
P -3.0799 5.4028 16.8338
P 6.9899 2.5417 13.1114
S -1.2661 2.2166 5.6118
S -1.2366 7.2779 20.6109
S -2.5183 5.0386 9.3380
O 2.7837 2.7751 3.1000
O 1.6351 0.0883 13.2893
O 1.7234 5.2570 21.9343
O 3.4289 1.1322 11.8652
O -1.5944 5.1267 17.0375
O 0.7121 3.5813 17.0604
O 3.8866 4.0174 5.4941
O 3.4577 3.8606 14.3623
O 7.8243 1.3790 6.8626
O -0.6254 3.5969 21.8119
O 1.7113 4.9245 19.4170
O 5.0375 3.9890 16.7747
O -0.9764 3.8415 12.9638
O 3.7651 4.0963 11.8480
O 0.9220 6.4172 17.0426
O 2.8877 7.3714 9.2181
O 1.6487 0.1891 6.8814
O -2.7580 7.3579 20.5622
O 5.4158 3.9246 9.5267
O 3.4123 6.1982 4.2765
O 3.4537 1.2879 5.4952
O 7.2399 0.2006 18.0773
O 5.4445 3.8494 3.1298
O 1.6473 5.1753 5.7342
O -0.9975 3.6215 19.2927
O -2.6954 7.4705 4.3570
O 0.6758 3.5515 10.5986
O 5.0643 1.0280 3.1131
O 0.9631 3.6808 8.0916
O -0.7317 1.5776 4.4258
O -0.9275 6.3827 5.7825
O 3.8154 1.0024 14.3636
O 7.9081 1.3421 13.3043
O 0.6027 1.4467 9.2202
O -3.3773 6.2107 15.6182
O 5.1122 6.0900 18.1443
O 3.7796 6.1679 6.7960
O -0.9711 6.4265 21.8502
O 3.5290 3.8410 20.7843
O 5.0667 4.1204 0.6472
O 2.6699 7.4450 15.5371
O -0.5200 6.5424 12.9997
O -1.7064 4.9143 8.1498
O 0.6017 6.5476 1.7095
O 0.7049 6.6358 8.1460
O -0.7190 6.6293 19.4247
O 0.6554 1.5370 15.6681
O -1.6642 5.2704 10.5748
O -0.5279 1.4412 20.5150
O 1.0294 3.8582 1.7337
O 2.7225 2.3490 0.5944
O 6.0825 2.3373 11.9367
O 3.6780 6.1914 13.2601
O 5.1925 1.1110 9.5393
O 5.4527 1.3249 16.7871
O 1.6064 4.8374 12.9969
O 3.4778 6.3654 20.5020
O 1.0287 1.2800 18.1511
O -1.5581 4.8439 1.7101
O 2.8610 2.2781 16.7523
O 6.0475 2.3014 5.5642
O 6.0692 2.6239 20.7785
O 0.8920 1.3515 2.0385
O 3.7185 0.9922 20.7944
O 5.1240 6.1577 2.0457
O 2.8168 2.6725 9.4896
O -0.7298 3.5589 5.7931
O -3.3701 6.3250 9.2715
O 7.1993 0.0820 2.0338
O 6.1150 2.7671 14.4363
O 1.0364 6.4176 10.6514
O 5.4239 1.1734 0.6035
Nb 4.4492 7.6075 7.9762
Nb 0.0121 5.0446 0.4627
Nb 4.3958 2.5319 4.2174
Nb 4.4173 7.5938 19.2255
Nb 4.3932 2.5412 15.4812
Nb 0.0812 5.0238 11.7263
Mg -4.3344 7.5965 14.5739
Mg 0.0450 0.0025 3.3260
Mg 4.4806 2.5423 22.1008
Mg 0.0909 5.1290 7.0600
Mg 0.0753 5.0688 18.3418
Mg 4.4071 2.5046 10.8308
Na 1.6998 7.4676 13.2120
Na 2.9186 5.3642 1.9565
Na 0.0164 5.0983 15.2276
Na -0.0722 5.1605 3.9775
Na 4.3643 2.5903 18.9997
Na 0.0462 0.1027 0.1694
Na -1.5067 2.7854 16.9745
Na 4.3645 2.4704 7.7025
Na 0.1388 0.0278 11.4518
```

Values from the calculation:
VASP energy in eV/atom: -7.09
Formation energy from the elements in kJ/mol of formula units: -9781.7
Spin magnetization in μB per formula unit: 0.00

***

[8]
Below is crystalline Na5Si3Sn4P3O24 at its relaxed geometry, with properties calculated at the PBE-GGA level.

Cell and atoms, written as extended XYZ:
```
117
Lattice="-6.6932 5.3522 -2.6694 1.4401 -7.8085 -4.1939 -13.9252 -10.2958 14.3835" Properties=species:S:1:pos:R:3 pbc="T T T"
P -15.9924 -11.2871 8.7106
P -5.5547 2.3869 -0.7652
P -7.1767 -4.3107 -1.2616
P -16.1318 -7.8835 5.1945
P -5.4657 -1.0188 2.8085
P -7.4871 -5.4291 3.5075
P -14.0597 -3.4627 4.4127
P -12.5083 -12.1372 11.5140
P -11.9774 -8.4606 8.7883
Na -15.5860 -7.5575 8.8560
Na -11.7726 -1.4378 2.1045
Na -7.2705 -11.2889 5.3235
Na -2.5802 -7.4920 0.9561
Na -3.7121 -5.0002 -1.2815
Na -11.1828 -9.9991 2.6199
Na -1.7047 -6.8063 -3.7147
Na -10.6443 -10.1297 5.9459
Na -20.5935 -4.9565 11.7049
Na -18.3455 -9.4880 7.8212
Na -11.4858 -13.5531 5.6211
Na -0.9585 -3.3453 -0.2776
Na -12.1899 -7.5603 0.3851
Na -8.0435 -2.7283 4.9990
Na -8.6002 -2.4644 1.6189
O -10.4522 -8.3593 4.3128
O -4.7334 -10.6447 2.2476
O -8.7530 -13.3704 6.4704
O -6.7609 -5.5389 2.1599
O -15.9946 -7.9252 11.2229
O -12.5648 -10.7880 12.2504
O -7.1334 -0.6746 -2.4318
O -10.8561 -3.6078 1.7262
O -10.0910 -4.1394 5.6732
O -8.6494 -4.4416 3.2714
O -4.9046 2.2489 -2.1577
O -11.9076 -9.8413 8.1007
O -16.1895 -12.5181 9.6137
O -14.2240 -4.7551 5.2415
O -14.4766 -2.1818 5.1582
O -9.1456 -8.6091 1.8457
O -12.3866 -8.5139 10.2830
O -6.5930 -4.8188 4.6259
O -6.0911 -5.2060 -0.6350
O -13.0932 -7.5664 8.1852
O -16.7281 -4.1392 9.2655
O -5.1889 0.0753 -4.2229
O -6.7877 -4.1534 -2.7441
O -12.6160 -7.9731 2.8108
O -9.1848 -10.7267 3.8657
O -10.5710 0.5852 1.0914
O -13.0520 -13.7246 7.6722
O -3.9532 -5.5209 1.1199
O -18.0857 -7.7119 9.4085
O -6.7538 3.3158 -1.0395
O -11.3503 -5.8688 3.3748
O -3.1745 -4.8418 -3.8773
O -6.6683 -9.5430 3.4779
O -1.1704 -5.0636 -2.0047
O -14.3385 -15.0319 9.7004
O -9.9502 -2.0761 3.7168
O -4.8613 -7.9184 2.2016
O -14.5198 -11.0474 8.3527
O -12.3200 -16.1375 8.6227
O -9.3774 -5.2438 7.9402
O -2.5054 -3.4548 1.7749
O -13.4454 -10.4734 3.7100
O -2.6955 -2.8549 -1.9267
O -8.2330 -9.0804 5.8328
O -5.6572 -2.2373 3.7434
O -5.9451 1.0141 -0.1680
O -10.6248 -12.2777 7.5545
O -12.0826 -4.8950 7.4075
O -2.9920 -0.0659 -1.9902
O -16.4698 -9.9518 9.3531
O -12.1736 -12.0479 10.0059
O -2.5243 -8.5882 -1.7288
O -7.2881 -2.9437 -0.5416
O -12.5733 -3.1795 4.0537
O -12.4904 -7.1975 5.4267
O -6.6405 -2.0559 -4.7906
O -14.7033 -5.3851 8.2115
O -13.9080 -12.7668 11.7521
O -16.9175 -11.5182 7.4810
O -7.8727 -6.8093 4.0811
O -12.7121 -11.4995 5.9762
O -4.3960 -7.5012 -0.6633
O -15.2299 -7.3023 6.2940
O -9.8344 -7.5887 -0.4209
O -10.5810 -7.8384 8.6044
O -2.2092 -1.2301 0.1055
O -7.1093 -7.8646 0.2017
O -16.6338 -9.2502 5.7237
O -6.3581 -1.2697 1.5840
O -8.5273 -0.6053 -0.0069
O -4.7529 -1.7125 -0.7830
O -8.6238 -4.8494 -1.1139
Sn -10.6703 -4.0350 3.7306
Sn -1.5326 -3.5969 -3.4308
Sn -5.6572 -6.6444 0.8340
Sn -12.6524 -11.7851 7.9978
Sn -10.1078 -6.0905 -1.7675
Sn -6.5601 -0.9434 -0.4989
Sn -15.7213 -1.3421 6.6574
Sn -18.5481 -3.4685 9.5714
Sn -7.3014 -3.9939 -4.7254
Sn -17.5864 -9.1457 10.9652
Sn -8.5292 -8.7555 3.7502
Sn -13.5428 -6.1009 6.6850
Si -3.0548 -4.8784 2.3551
Si -11.6894 -7.3292 4.0282
Si -13.6055 -15.1591 8.2241
Si -6.6506 -0.6209 -3.9964
Si -8.6352 -8.4311 0.3087
Si -5.0915 -9.2805 3.0904
Si -3.2060 -1.4772 -1.2000
Si -10.5506 -4.3499 7.2281
Si -15.1663 -3.9428 8.8823
```

Values from the calculation:
VASP energy in eV/atom: -6.60
Formation energy from the elements in kJ/mol of formula units: -9662.7
Spin magnetization in μB per formula unit: 0.00